# PBE SrU2As2O20, optimized geometry
data_SrU2As2O20
_symmetry_space_group_name_H-M 'P 1'
_symmetry_Int_Tables_number 1
_cell_length_a 7.3244
_cell_length_b 7.3365
_cell_length_c 15.4756
_cell_angle_alpha 90.00
_cell_angle_beta 98.49
_cell_angle_gamma 90.00
loop_
_symmetry_equiv_pos_as_xyz
'x,y,z'
loop_
_atom_site_label
_atom_site_fract_x
_atom_site_fract_y
_atom_site_fract_z
_atom_site_occupancy
Sr1 0.0000 0.1752 0.0000 1
Sr2 0.0000 0.8248 0.5000 1
U1 0.2767 0.2559 0.8102 1
U2 0.2767 0.7441 0.3102 1
U3 0.7384 0.2545 0.1902 1
U4 0.7384 0.7455 0.6902 1
As1 0.2544 0.2440 0.2448 1
As2 0.2544 0.7560 0.7448 1
As3 0.7612 0.2447 0.7534 1
As4 0.7612 0.7553 0.2534 1
O1 0.0289 0.1902 0.4739 1
O2 0.0289 0.8098 0.9739 1
O3 0.0515 0.2515 0.1707 1
O4 0.0515 0.7485 0.6707 1
O5 0.1721 0.4822 0.0307 1
O6 0.1721 0.5178 0.5307 1
O7 0.2465 0.2572 0.6919 1
O8 0.2465 0.7428 0.1919 1
O9 0.2490 0.0540 0.3096 1
O10 0.2490 0.9460 0.8096 1
O11 0.2745 0.4376 0.3080 1
O12 0.2745 0.5624 0.8080 1
O13 0.2891 0.2545 0.9313 1
O14 0.2891 0.7455 0.4313 1
O15 0.4041 0.0457 0.5442 1
O16 0.4041 0.9543 0.0442 1
O17 0.4169 0.2025 0.5079 1
O18 0.4169 0.7975 0.0079 1
O19 0.4324 0.2311 0.1844 1
O20 0.4324 0.7689 0.6844 1
O21 0.5769 0.2524 0.4928 1
O22 0.5769 0.7476 0.9928 1
O23 0.5862 0.2309 0.8167 1
O24 0.5862 0.7691 0.3167 1
O25 0.6674 0.0484 0.9428 1
O26 0.6674 0.9516 0.4428 1
O27 0.7173 0.2539 0.0693 1
O28 0.7173 0.7461 0.5693 1
O29 0.7364 0.4356 0.6895 1
O30 0.7364 0.5644 0.1895 1
O31 0.7662 0.0547 0.6898 1
O32 0.7662 0.9453 0.1898 1
O33 0.7777 0.2542 0.3085 1
O34 0.7777 0.7458 0.8085 1
O35 0.9241 0.4963 0.9505 1
O36 0.9241 0.5037 0.4505 1
O37 0.9642 0.2542 0.8276 1
O38 0.9642 0.7458 0.3276 1
O39 0.9828 0.1794 0.5479 1
O40 0.9828 0.8206 0.0479 1
# ρ: 4.2 g/cm3
# Magnetic moment: 0.240 μB per atom
# Polymorph energy (0 for the lowest one): 250 meV/atom